Entry from the Materials Project database: a relaxed structure of KLiMn2Si4O12 (r²SCAN).

Properties
Its space group is C2/m, No. 12. The value obtained for the energy of formation is -2.731 eV/atom. The volume is 235 Å³ per cell. The calculation puts the spin magnetization at 8.00 μB per cell.

Lattice parameters (Å, degrees): 5.1888 5.1888 10.0378 94.00 94.00 118.62
Positions (direct):
K1 0.0000 0.0000 0.0000
Li1 0.5000 0.5000 0.5000
Mn1 0.1535 0.8465 0.5000
Mn2 0.8465 0.1535 0.5000
Si1 0.2678 0.6089 0.7739
Si2 0.3911 0.7322 0.2261
Si3 0.6089 0.2678 0.7739
Si4 0.7322 0.3911 0.2261
O1 0.0446 0.5460 0.1595
O2 0.1088 0.1088 0.3958
O3 0.2150 0.5735 0.6138
O4 0.4265 0.7850 0.3862
O5 0.4539 0.4539 0.8324
O6 0.4540 0.9554 0.8405
O7 0.5460 0.0446 0.1595
O8 0.5461 0.5461 0.1676
O9 0.5735 0.2150 0.6138
O10 0.7850 0.4265 0.3862
O11 0.8912 0.8912 0.6042
O12 0.9554 0.4540 0.8405